The following is a DFT calculation (GGA-PBE) of Zr5ZnPb3 after structural relaxation.

## Properties
Its total energy is -58.1 eV per formula unit. The calculation puts the formation enthalpy at 0 K at -0.330 eV/atom. The space-group type is No. 193.

Unit cell a=8.837 b=8.837 c=5.956 alpha=90.00 beta=90.00 gamma=120.00
Atoms (fractional coordinates):
Pb (0.616, 0.000, 0.250)
Pb (0.616, 0.616, 0.750)
Zr (0.667, 0.333, 0.000)
Zr (0.000, 0.733, 0.750)
Zr (0.733, 0.733, 0.250)
Pb (0.384, 0.384, 0.250)
Zr (0.733, 0.000, 0.750)
Zn (0.000, 0.000, 0.500)
Pb (0.000, 0.384, 0.750)
Pb (0.384, 0.000, 0.750)
Zn (0.000, 0.000, 0.000)
Zr (0.333, 0.667, 0.000)
Zr (0.267, 0.267, 0.750)
Zr (0.000, 0.267, 0.250)
Zr (0.267, 0.000, 0.250)
Pb (0.000, 0.616, 0.250)
Zr (0.667, 0.333, 0.500)
Zr (0.333, 0.667, 0.500)